A plane-wave DFT calculation with GGA-PBE was carried out for crystalline Sc5Si3 at its relaxed geometry.

## Properties
Distance to the lowest polymorph of the same formula ... 0.0 kJ per mole of atoms
E_form ... -5.9 eV per formula unit

a b c (Å): 7.903 7.903 5.835
angles (deg): 90.00 90.00 120.00
Positions (direct):
1 Sc 0.000 0.241 0.250
2 Sc 0.000 0.759 0.750
3 Sc 0.241 0.000 0.250
4 Sc 0.241 0.241 0.750
5 Sc 0.333 0.667 0.000
6 Sc 0.333 0.667 0.500
7 Sc 0.667 0.333 0.000
8 Sc 0.667 0.333 0.500
9 Sc 0.759 0.000 0.750
10 Sc 0.759 0.759 0.250
11 Si 0.000 0.395 0.750
12 Si 0.000 0.605 0.250
13 Si 0.395 0.000 0.750
14 Si 0.395 0.395 0.250
15 Si 0.605 0.000 0.250
16 Si 0.605 0.605 0.750